Computed, not measured: Sm2WO6 after structural relaxation at the r2SCAN level of DFT.

Cell: 7.759 5.453 11.582 Å, 90.00 103.98 90.00°
Fractional positions:
Sm 0.000 0.183 0.250
Sm 0.000 0.817 0.750
Sm 0.298 0.308 0.923
Sm 0.298 0.692 0.423
Sm 0.500 0.237 0.250
Sm 0.500 0.763 0.750
Sm 0.702 0.308 0.577
Sm 0.702 0.692 0.077
W 0.222 0.248 0.613
W 0.222 0.752 0.113
W 0.778 0.248 0.887
W 0.778 0.752 0.387
O 0.006 0.142 0.889
O 0.006 0.858 0.389
O 0.137 0.346 0.455
O 0.137 0.654 0.955
O 0.210 0.491 0.226
O 0.210 0.509 0.726
O 0.282 0.040 0.768
O 0.282 0.960 0.268
O 0.354 0.013 0.070
O 0.354 0.987 0.570
O 0.435 0.461 0.604
O 0.435 0.539 0.104
O 0.565 0.461 0.896
O 0.565 0.539 0.396
O 0.646 0.013 0.430
O 0.646 0.987 0.930
O 0.718 0.040 0.732
O 0.718 0.960 0.232
O 0.790 0.491 0.274
O 0.790 0.509 0.774
O 0.863 0.346 0.045
O 0.863 0.654 0.545
O 0.994 0.142 0.611
O 0.994 0.858 0.111

Computed properties:
Excess energy over the best structure of this formula in the dataset, kcal/mol of atoms: 0.000
Formation enthalpy at 0 K, kJ/mol of formula units: -2840
VASP energy, eV/atom: -19.567
Crystal system: monoclinic